First-principles (PBE) data for a geometry-optimized CsLi2Cl3 structure, as listed in the Materials Project.

Results
space group	Immm (71)
formation energy	-2161.6	meV/atom

a = 7.193 Å, b = 7.193 Å, c = 7.193 Å
α = 143.06°, β = 136.72°, γ = 58.18°
Positions (direct):
Cs  0.000  0.000  0.000
Li  0.309  0.309  0.000
Li  0.691  0.691  0.000
Cl  0.232  0.732  0.500
Cl  0.500  0.500  0.000
Cl  0.768  0.268  0.500

First-principles (PBE) data for a geometry-optimized CaCu3Pt4O12 structure, as listed in the Materials Project.

Results
space group	Im-3 (204)
formation energy	-1146.6	meV/atom

a = 6.596 Å, b = 6.596 Å, c = 6.596 Å
α = 109.47°, β = 109.47°, γ = 109.47°
Positions (direct):
Ca  0.000  0.000  0.000
Cu  0.000  0.500  0.500
Cu  0.500  0.000  0.500
Cu  0.500  0.500  0.000
Pt  0.000  0.000  0.500
Pt  0.000  0.500  0.000
Pt  0.500  0.000  0.000
Pt  0.500  0.500  0.500
O  0.140  0.307  0.834
O  0.166  0.473  0.307
O  0.166  0.860  0.693
O  0.307  0.166  0.473
O  0.307  0.834  0.140
O  0.473  0.307  0.166
O  0.527  0.693  0.834
O  0.693  0.166  0.860
O  0.693  0.834  0.527
O  0.834  0.140  0.307
O  0.834  0.527  0.693
O  0.860  0.693  0.166

First-principles (PBE) data for a geometry-optimized RbMo9S9 structure, as listed in the Materials Project.

Results
space group	P6_3/m (176)
formation energy	-879.8	meV/atom

a = 9.058 Å, b = 9.058 Å, c = 13.139 Å
α = 90.00°, β = 90.00°, γ = 120.00°
Positions (direct):
Rb  0.333  0.667  0.250
Rb  0.667  0.333  0.750
Mo  0.027  0.186  0.250
Mo  0.028  0.188  0.583
Mo  0.028  0.188  0.917
Mo  0.159  0.973  0.250
Mo  0.160  0.972  0.583
Mo  0.160  0.972  0.917
Mo  0.186  0.159  0.750
Mo  0.188  0.160  0.083
Mo  0.188  0.160  0.417
Mo  0.812  0.840  0.583
Mo  0.812  0.840  0.917
Mo  0.814  0.841  0.250
Mo  0.840  0.028  0.083
Mo  0.840  0.028  0.417
Mo  0.841  0.027  0.750
Mo  0.972  0.812  0.083
Mo  0.972  0.812  0.417
Mo  0.973  0.814  0.750
S  0.051  0.341  0.084
S  0.051  0.341  0.416
S  0.051  0.341  0.750
S  0.290  0.949  0.084
S  0.290  0.949  0.416
S  0.290  0.949  0.750
S  0.341  0.290  0.250
S  0.341  0.290  0.584
S  0.341  0.290  0.916
S  0.659  0.710  0.084
S  0.659  0.710  0.416
S  0.659  0.710  0.750
S  0.710  0.051  0.250
S  0.710  0.051  0.584
S  0.710  0.051  0.916
S  0.949  0.659  0.250
S  0.949  0.659  0.584
S  0.949  0.659  0.916

First-principles (PBE) data for a geometry-optimized BaLaMg14 structure, as listed in the Materials Project.

Results
ΔE to the lowest computed polymorph	0	kJ/mol of formula units
space group	P-6m2 (187)
formation energy	56.0	meV/atom

a = 6.842 Å, b = 6.842 Å, c = 10.484 Å
α = 90.00°, β = 90.00°, γ = 120.00°
Positions (direct):
Ba  0.000  0.000  0.000
La  0.000  0.000  0.500
Mg  0.006  0.503  0.500
Mg  0.009  0.504  0.000
Mg  0.177  0.353  0.255
Mg  0.177  0.353  0.745
Mg  0.177  0.823  0.255
Mg  0.177  0.823  0.745
Mg  0.496  0.504  0.000
Mg  0.496  0.991  0.000
Mg  0.497  0.503  0.500
Mg  0.497  0.994  0.500
Mg  0.647  0.823  0.255
Mg  0.647  0.823  0.745
Mg  0.667  0.333  0.251
Mg  0.667  0.333  0.749

First-principles (PBE) data for a geometry-optimized SiO2 structure, as listed in the Materials Project.

Results
space group	P4/n (85)
formation energy	-3107.6	meV/atom

a = 11.772 Å, b = 11.772 Å, c = 4.375 Å
α = 90.00°, β = 90.00°, γ = 90.00°
Positions (direct):
Si  0.012  0.334  0.234
Si  0.013  0.171  0.788
Si  0.166  0.012  0.234
Si  0.171  0.487  0.788
Si  0.329  0.013  0.788
Si  0.334  0.488  0.234
Si  0.487  0.329  0.788
Si  0.488  0.166  0.234
Si  0.512  0.834  0.766
Si  0.513  0.671  0.212
Si  0.666  0.512  0.766
Si  0.671  0.987  0.212
Si  0.829  0.513  0.212
Si  0.834  0.988  0.766
Si  0.987  0.829  0.212
Si  0.988  0.666  0.766
O  0.062  0.255  0.515
O  0.062  0.749  0.987
O  0.070  0.925  0.364
O  0.075  0.570  0.636
O  0.108  0.111  0.014
O  0.111  0.392  0.014
O  0.245  0.062  0.515
O  0.249  0.938  0.013
O  0.251  0.562  0.013
O  0.255  0.438  0.515
O  0.389  0.108  0.014
O  0.392  0.389  0.014
O  0.425  0.930  0.636
O  0.430  0.575  0.364
O  0.438  0.245  0.515
O  0.438  0.751  0.987
O  0.562  0.249  0.013
O  0.562  0.755  0.485
O  0.570  0.425  0.636
O  0.575  0.070  0.364
O  0.608  0.611  0.986
O  0.611  0.892  0.986
O  0.745  0.562  0.485
O  0.749  0.438  0.987
O  0.751  0.062  0.987
O  0.755  0.938  0.485
O  0.889  0.608  0.986
O  0.892  0.889  0.986
O  0.925  0.430  0.364
O  0.930  0.075  0.636
O  0.938  0.251  0.013
O  0.938  0.745  0.485

First-principles (PBE) data for a geometry-optimized K2NaYBr6 structure, as listed in the Materials Project.

Results
space group	Fm-3m (225)
formation energy	-2080.3	meV/atom

a = 8.027 Å, b = 8.027 Å, c = 8.027 Å
α = 60.00°, β = 60.00°, γ = 60.00°
Positions (direct):
K  0.250  0.250  0.250
K  0.750  0.750  0.750
Na  0.000  0.000  0.000
Y  0.500  0.500  0.500
Br  0.254  0.254  0.746
Br  0.254  0.746  0.254
Br  0.254  0.746  0.746
Br  0.746  0.254  0.254
Br  0.746  0.254  0.746
Br  0.746  0.746  0.254

First-principles (PBE) data for a geometry-optimized ZnFeS2 structure, as listed in the Materials Project.

Results
space group	R3m (160)
formation energy	-702.8	meV/atom

a = 6.656 Å, b = 6.656 Å, c = 6.656 Å
α = 33.34°, β = 33.34°, γ = 33.34°
Positions (direct):
Zn  0.000  0.000  0.000
Fe  0.500  0.500  0.500
S  0.125  0.125  0.125
S  0.624  0.624  0.624

First-principles (PBE) data for a geometry-optimized BaSm2S4 structure, as listed in the Materials Project.

Results
space group	Pnma (62)
formation energy	-2398.3	meV/atom

a = 12.359 Å, b = 4.146 Å, c = 14.865 Å
α = 90.00°, β = 90.00°, γ = 90.00°
Positions (direct):
Ba  0.245  0.250  0.159
Ba  0.255  0.750  0.659
Ba  0.745  0.250  0.341
Ba  0.755  0.750  0.841
Sm  0.075  0.250  0.393
Sm  0.076  0.250  0.896
Sm  0.424  0.750  0.396
Sm  0.425  0.750  0.893
Sm  0.575  0.250  0.107
Sm  0.576  0.250  0.604
Sm  0.924  0.750  0.104
Sm  0.925  0.750  0.607
S  0.017  0.750  0.783
S  0.077  0.250  0.579
S  0.130  0.750  0.021
S  0.210  0.750  0.328
S  0.290  0.250  0.828
S  0.370  0.250  0.521
S  0.423  0.750  0.079
S  0.483  0.250  0.283
S  0.517  0.750  0.717
S  0.577  0.250  0.921
S  0.630  0.750  0.479
S  0.710  0.750  0.172
S  0.790  0.250  0.672
S  0.870  0.250  0.979
S  0.923  0.750  0.421
S  0.983  0.250  0.217

First-principles (PBE) data for a geometry-optimized LiB5H2O9 structure, as listed in the Materials Project.

Results
space group	P2_1/c (14)
formation energy	-2571.6	meV/atom

a = 5.606 Å, b = 9.189 Å, c = 13.748 Å
α = 90.00°, β = 91.47°, γ = 90.00°
Positions (direct):
Li  0.024  0.095  0.197
Li  0.024  0.405  0.697
Li  0.976  0.595  0.303
Li  0.976  0.905  0.803
B  0.014  0.169  0.399
B  0.014  0.331  0.899
B  0.218  0.141  0.990
B  0.218  0.359  0.490
B  0.266  0.034  0.658
B  0.266  0.466  0.158
B  0.313  0.173  0.815
B  0.313  0.327  0.315
B  0.405  0.697  0.818
B  0.405  0.803  0.318
B  0.595  0.197  0.682
B  0.595  0.303  0.182
B  0.687  0.673  0.685
B  0.687  0.827  0.185
B  0.734  0.534  0.842
B  0.734  0.966  0.342
B  0.782  0.641  0.510
B  0.782  0.859  0.010
B  0.986  0.669  0.101
B  0.986  0.831  0.601
H  0.161  0.735  0.921
H  0.161  0.765  0.421
H  0.379  0.000  0.080
H  0.379  0.500  0.580
H  0.621  0.000  0.920
H  0.621  0.500  0.420
H  0.839  0.235  0.579
H  0.839  0.265  0.079
O  0.040  0.245  0.983
O  0.040  0.255  0.483
O  0.146  0.199  0.319
O  0.146  0.301  0.819
O  0.150  0.560  0.095
O  0.150  0.940  0.595
O  0.195  0.059  0.751
O  0.195  0.441  0.251
O  0.205  0.738  0.354
O  0.205  0.762  0.854
O  0.242  0.068  0.078
O  0.242  0.432  0.578
O  0.359  0.110  0.913
O  0.359  0.390  0.413
O  0.460  0.106  0.621
O  0.460  0.394  0.121
O  0.463  0.721  0.724
O  0.463  0.779  0.224
O  0.537  0.221  0.776
O  0.537  0.279  0.276
O  0.540  0.606  0.879
O  0.540  0.894  0.379
O  0.641  0.610  0.587
O  0.641  0.890  0.087
O  0.758  0.568  0.422
O  0.758  0.932  0.922
O  0.795  0.238  0.146
O  0.795  0.262  0.646
O  0.805  0.559  0.749
O  0.805  0.941  0.249
O  0.850  0.060  0.405
O  0.850  0.440  0.905
O  0.854  0.699  0.181
O  0.854  0.801  0.681
O  0.960  0.745  0.517
O  0.960  0.755  0.017

First-principles (PBE) data for a geometry-optimized CaBi2 structure, as listed in the Materials Project.

Results
space group	Cmcm (63)
formation energy	-533.5	meV/atom

a = 8.918 Å, b = 8.918 Å, c = 4.595 Å
α = 90.00°, β = 90.00°, γ = 148.67°
Positions (direct):
Ca  0.099  0.901  0.750
Ca  0.901  0.099  0.250
Bi  0.257  0.743  0.250
Bi  0.434  0.566  0.750
Bi  0.566  0.434  0.250
Bi  0.743  0.257  0.750

First-principles (PBE) data for a geometry-optimized Gd6Ta4Al43 structure, as listed in the Materials Project.

Results
space group	P6_3/mcm (193)
formation energy	-259.2	meV/atom

a = 10.915 Å, b = 10.915 Å, c = 17.261 Å
α = 90.00°, β = 90.00°, γ = 120.00°
Positions (direct):
Gd  0.000  0.470  0.095
Gd  0.000  0.470  0.405
Gd  0.000  0.530  0.595
Gd  0.000  0.530  0.905
Gd  0.470  0.000  0.095
Gd  0.470  0.000  0.405
Gd  0.470  0.470  0.595
Gd  0.470  0.470  0.905
Gd  0.530  0.000  0.595
Gd  0.530  0.000  0.905
Gd  0.530  0.530  0.095
Gd  0.530  0.530  0.405
Ta  0.000  0.000  0.000
Ta  0.000  0.000  0.500
Ta  0.000  0.272  0.250
Ta  0.000  0.728  0.750
Ta  0.272  0.000  0.250
Ta  0.272  0.272  0.750
Ta  0.728  0.000  0.750
Ta  0.728  0.728  0.250
Al  0.000  0.149  0.750
Al  0.000  0.159  0.115
Al  0.000  0.159  0.385
Al  0.000  0.255  0.530
Al  0.000  0.255  0.970
Al  0.000  0.745  0.030
Al  0.000  0.745  0.470
Al  0.000  0.841  0.615
Al  0.000  0.841  0.885
Al  0.000  0.851  0.250
Al  0.149  0.000  0.750
Al  0.149  0.149  0.250
Al  0.149  0.554  0.250
Al  0.149  0.596  0.750
Al  0.158  0.395  0.663
Al  0.158  0.395  0.837
Al  0.158  0.763  0.163
Al  0.158  0.763  0.337
Al  0.159  0.000  0.115
Al  0.159  0.000  0.385
Al  0.159  0.159  0.615
Al  0.159  0.159  0.885
Al  0.237  0.395  0.163
Al  0.237  0.395  0.337
Al  0.237  0.842  0.663
Al  0.237  0.842  0.837
Al  0.247  0.494  0.000
Al  0.247  0.494  0.500
Al  0.247  0.753  0.000
Al  0.247  0.753  0.500
Al  0.255  0.000  0.530
Al  0.255  0.000  0.970
Al  0.255  0.255  0.030
Al  0.255  0.255  0.470
Al  0.333  0.667  0.126
Al  0.333  0.667  0.374
Al  0.333  0.667  0.626
Al  0.333  0.667  0.874
Al  0.395  0.158  0.663
Al  0.395  0.158  0.837
Al  0.395  0.237  0.163
Al  0.395  0.237  0.337
Al  0.404  0.554  0.750
Al  0.404  0.851  0.250
Al  0.446  0.596  0.250
Al  0.446  0.851  0.750
Al  0.494  0.247  0.000
Al  0.494  0.247  0.500
Al  0.506  0.753  0.000
Al  0.506  0.753  0.500
Al  0.554  0.149  0.250
Al  0.554  0.404  0.750
Al  0.596  0.149  0.750
Al  0.596  0.446  0.250
Al  0.605  0.763  0.663
Al  0.605  0.763  0.837
Al  0.605  0.842  0.163
Al  0.605  0.842  0.337
Al  0.667  0.333  0.126
Al  0.667  0.333  0.374
Al  0.667  0.333  0.626
Al  0.667  0.333  0.874
Al  0.745  0.000  0.030
Al  0.745  0.000  0.470
Al  0.745  0.745  0.530
Al  0.745  0.745  0.970
Al  0.753  0.247  0.000
Al  0.753  0.247  0.500
Al  0.753  0.506  0.000
Al  0.753  0.506  0.500
Al  0.763  0.158  0.163
Al  0.763  0.158  0.337
Al  0.763  0.605  0.663
Al  0.763  0.605  0.837
Al  0.841  0.000  0.615
Al  0.841  0.000  0.885
Al  0.841  0.841  0.115
Al  0.841  0.841  0.385
Al  0.842  0.237  0.663
Al  0.842  0.237  0.837
Al  0.842  0.605  0.163
Al  0.842  0.605  0.337
Al  0.851  0.000  0.250
Al  0.851  0.404  0.250
Al  0.851  0.446  0.750
Al  0.851  0.851  0.750

First-principles (PBE) data for a geometry-optimized Ho2MgCd structure, as listed in the Materials Project.

Results
space group	Fm-3m (225)
formation energy	-187.3	meV/atom

a = 5.304 Å, b = 5.304 Å, c = 5.304 Å
α = 60.00°, β = 60.00°, γ = 60.00°
Positions (direct):
Ho  0.250  0.250  0.250
Ho  0.750  0.750  0.750
Mg  0.000  0.000  0.000
Cd  0.500  0.500  0.500